Material: Th6Mn23H44
Method: DFT, GGA-PBE
State: optimized geometry

Computed properties:
ΔH_f (0 K): -0.1539 eV/atom
Raw total energy: -5.587 eV/atom

The structure in CIF format:
```
data_Th6Mn23H44
_chemical_formula_sum 'Th6 Mn23 H44'
_space_group_name_H-M_alt 'P 1'
_space_group_IT_number 1
_cell_length_a 9.481
_cell_length_b 9.481
_cell_length_c 9.481
_cell_angle_alpha 60.00
_cell_angle_beta 60.00
_cell_angle_gamma 60.00
loop_
_space_group_symop_operation_xyz
'x,y,z'
loop_
_atom_site_label
_atom_site_type_symbol
_atom_site_fract_x
_atom_site_fract_y
_atom_site_fract_z
H1 H 0.000 0.000 0.692
H2 H 0.095 0.562 0.562
H3 H 0.438 0.905 0.218
H4 H 0.562 0.095 0.782
H5 H 0.438 0.218 0.438
H6 H 0.095 0.782 0.562
H7 H 0.000 0.000 0.308
H8 H 0.565 0.565 0.565
H9 H 0.308 0.000 0.692
H10 H 0.095 0.562 0.782
H11 H 0.562 0.782 0.562
H12 H 0.694 0.435 0.435
H13 H 0.308 0.692 0.000
H14 H 0.308 0.000 0.000
H15 H 0.565 0.306 0.565
H16 H 0.782 0.095 0.562
H17 H 0.435 0.435 0.435
H18 H 0.905 0.438 0.218
H19 H 0.905 0.438 0.438
H20 H 0.562 0.782 0.095
H21 H 0.306 0.565 0.565
H22 H 0.438 0.438 0.218
H23 H 0.000 0.692 0.000
H24 H 0.782 0.562 0.562
H25 H 0.692 0.308 0.000
H26 H 0.000 0.692 0.308
H27 H 0.565 0.565 0.306
H28 H 0.435 0.694 0.435
H29 H 0.438 0.218 0.905
H30 H 0.562 0.095 0.562
H31 H 0.562 0.562 0.782
H32 H 0.692 0.000 0.000
H33 H 0.438 0.905 0.438
H34 H 0.905 0.218 0.438
H35 H 0.218 0.905 0.438
H36 H 0.692 0.000 0.308
H37 H 0.218 0.438 0.905
H38 H 0.218 0.438 0.438
H39 H 0.435 0.435 0.694
H40 H 0.438 0.438 0.905
H41 H 0.782 0.562 0.095
H42 H 0.000 0.308 0.000
H43 H 0.562 0.562 0.095
H44 H 0.000 0.308 0.692
Th1 Th 0.706 0.294 0.294
Th2 Th 0.706 0.294 0.706
Th3 Th 0.294 0.706 0.294
Th4 Th 0.294 0.294 0.706
Th5 Th 0.294 0.706 0.706
Th6 Th 0.706 0.706 0.294
Mn1 Mn 0.500 0.000 0.000
Mn2 Mn 0.128 0.128 0.128
Mn3 Mn 0.000 0.000 0.000
Mn4 Mn 0.500 0.000 0.500
Mn5 Mn 0.872 0.872 0.872
Mn6 Mn 0.128 0.617 0.128
Mn7 Mn 0.000 0.500 0.000
Mn8 Mn 0.685 0.944 0.685
Mn9 Mn 0.685 0.685 0.685
Mn10 Mn 0.315 0.315 0.315
Mn11 Mn 0.685 0.685 0.944
Mn12 Mn 0.872 0.872 0.383
Mn13 Mn 0.315 0.315 0.056
Mn14 Mn 0.872 0.383 0.872
Mn15 Mn 0.000 0.500 0.500
Mn16 Mn 0.000 0.000 0.500
Mn17 Mn 0.617 0.128 0.128
Mn18 Mn 0.944 0.685 0.685
Mn19 Mn 0.500 0.500 0.000
Mn20 Mn 0.315 0.056 0.315
Mn21 Mn 0.128 0.128 0.617
Mn22 Mn 0.056 0.315 0.315
Mn23 Mn 0.383 0.872 0.872
```



Material: Na2Zr4Al4Si3S9O48
Method: DFT, GGA-PBE
State: optimized geometry

Computed properties:
ΔH_f (0 K): -2.5898 eV/atom
Raw total energy: -7.016 eV/atom

The structure in CIF format:
```
data_Na2Zr4Al4Si3S9O48
_chemical_formula_sum 'Na6 Zr12 Al12 Si9 S27 O144'
_space_group_name_H-M_alt 'P 1'
_space_group_IT_number 1
_cell_length_a 17.439
_cell_length_b 8.729
_cell_length_c 22.650
_cell_angle_alpha 89.82
_cell_angle_beta 90.54
_cell_angle_gamma 120.04
loop_
_space_group_symop_operation_xyz
'x,y,z'
loop_
_atom_site_label
_atom_site_type_symbol
_atom_site_fract_x
_atom_site_fract_y
_atom_site_fract_z
Al1 Al 0.665 0.656 0.812
Al2 Al 0.504 0.006 0.851
Al3 Al 0.334 0.329 0.478
Al4 Al 0.830 0.337 0.984
Al5 Al 0.172 0.687 0.818
Al6 Al 0.333 0.331 0.983
Al7 Al 0.996 0.009 0.646
Al8 Al 0.168 0.675 0.310
Al9 Al 0.003 0.002 0.350
Al10 Al 0.834 0.324 0.477
Al11 Al 0.669 0.660 0.311
Al12 Al 0.500 0.967 0.150
O1 O 0.929 0.501 0.139
O2 O 0.267 0.855 0.470
O3 O 0.980 0.806 0.087
O4 O 0.179 0.877 0.575
O5 O 0.408 0.304 0.523
O6 O 0.688 0.515 0.358
O7 O 0.931 0.354 0.641
O8 O 0.390 0.962 0.700
O9 O 0.782 0.862 0.468
O10 O 0.895 0.960 0.698
O11 O 0.242 0.352 0.134
O12 O 0.016 0.218 0.201
O13 O 0.311 0.136 0.422
O14 O 0.991 0.801 0.802
O15 O 0.591 0.200 0.410
O16 O 0.424 0.487 0.423
O17 O 0.727 0.290 0.027
O18 O 0.006 0.208 0.906
O19 O 0.916 0.048 0.087
O20 O 0.188 0.492 0.071
O21 O 0.256 0.641 0.859
O22 O 0.392 0.825 0.197
O23 O 0.429 0.507 0.139
O24 O 0.570 0.684 0.470
O25 O 0.828 0.143 0.420
O26 O 0.478 0.819 0.089
O27 O 0.342 0.538 0.245
O28 O 0.577 0.446 0.967
O29 O 0.153 0.820 0.266
O30 O 0.242 0.170 0.250
O31 O 0.747 0.140 0.922
O32 O 0.911 0.807 0.307
O33 O 0.430 0.356 0.640
O34 O 0.513 0.200 0.195
O35 O 0.486 0.178 0.302
O36 O 0.929 0.366 0.920
O37 O 0.909 0.296 0.523
O38 O 0.765 0.832 0.760
O39 O 0.321 0.124 0.136
O40 O 0.855 0.551 0.531
O41 O 0.566 0.649 0.071
O42 O 0.588 0.207 0.696
O43 O 0.594 0.159 0.811
O44 O 0.602 0.025 0.586
O45 O 0.910 0.986 0.405
O46 O 0.395 0.985 0.409
O47 O 0.069 0.634 0.075
O48 O 0.769 0.683 0.969
O49 O 0.266 0.170 0.928
O50 O 0.063 0.499 0.861
O51 O 0.987 0.173 0.308
O52 O 0.687 0.883 0.573
O53 O 0.008 0.826 0.406
O54 O 0.556 0.620 0.364
O55 O 0.663 0.476 0.474
O56 O 0.102 0.184 0.803
O57 O 0.822 0.523 0.637
O58 O 0.895 0.804 0.908
O59 O 0.427 0.316 0.244
O60 O 0.514 0.811 0.701
O61 O 0.096 0.028 0.592
O62 O 0.325 0.514 0.917
O63 O 0.733 0.168 0.527
O64 O 0.434 0.359 0.920
O65 O 0.240 0.130 0.636
O66 O 0.267 0.872 0.076
O67 O 0.067 0.487 0.571
O68 O 0.759 0.875 0.071
O69 O 0.248 0.354 0.424
O70 O 0.479 0.154 0.588
O71 O 0.094 0.029 0.311
O72 O 0.224 0.163 0.529
O73 O 0.317 0.505 0.634
O74 O 0.925 0.807 0.594
O75 O 0.654 0.488 0.766
O76 O 0.076 0.705 0.468
O77 O 0.743 0.315 0.750
O78 O 0.101 0.178 0.085
O79 O 0.566 0.491 0.862
O80 O 0.155 0.456 0.468
O81 O 0.094 0.994 0.907
O82 O 0.406 0.834 0.902
O83 O 0.742 0.132 0.634
O84 O 0.842 0.160 0.025
O85 O 0.073 0.458 0.968
O86 O 0.500 0.799 0.410
O87 O 0.148 0.472 0.760
O88 O 0.088 0.969 0.196
O89 O 0.681 0.483 0.072
O90 O 0.893 0.822 0.200
O91 O 0.085 0.208 0.697
O92 O 0.087 0.197 0.409
O93 O 0.340 0.144 0.750
O94 O 0.811 0.486 0.921
O95 O 0.982 0.143 0.592
O96 O 0.249 0.867 0.364
O97 O 0.928 0.318 0.252
O98 O 0.583 0.700 0.768
O99 O 0.280 0.704 0.965
O100 O 0.407 0.795 0.304
O101 O 0.191 0.875 0.858
O102 O 0.586 0.463 0.257
O103 O 0.597 0.167 0.087
O104 O 0.086 0.466 0.268
O105 O 0.232 0.296 0.027
O106 O 0.844 0.146 0.744
O107 O 0.602 0.025 0.308
O108 O 0.264 0.824 0.762
O109 O 0.934 0.508 0.421
O110 O 0.768 0.669 0.577
O111 O 0.582 0.960 0.193
O112 O 0.741 0.352 0.134
O113 O 0.510 0.191 0.906
O114 O 0.750 0.634 0.863
O115 O 0.263 0.694 0.260
O116 O 0.816 0.126 0.133
O117 O 0.570 0.505 0.576
O118 O 0.425 0.047 0.092
O119 O 0.761 0.879 0.362
O120 O 0.741 0.155 0.244
O121 O 0.183 0.489 0.363
O122 O 0.159 0.849 0.973
O123 O 0.910 0.021 0.803
O124 O 0.651 0.806 0.267
O125 O 0.682 0.876 0.862
O126 O 0.423 0.533 0.752
O127 O 0.928 0.544 0.745
O128 O 0.911 0.517 0.021
O129 O 0.847 0.542 0.250
O130 O 0.065 0.639 0.363
O131 O 0.409 0.523 0.021
O132 O 0.342 0.524 0.527
O133 O 0.087 0.704 0.759
O134 O 0.352 0.161 0.030
O135 O 0.258 0.641 0.573
O136 O 0.585 0.974 0.908
O137 O 0.410 0.017 0.807
O138 O 0.485 0.799 0.808
O139 O 0.230 0.318 0.744
O140 O 0.654 0.852 0.967
O141 O 0.765 0.364 0.426
O142 O 0.415 0.784 0.588
O143 O 0.766 0.699 0.261
O144 O 0.018 0.831 0.696
S1 S 0.667 0.961 0.913
S2 S 0.521 0.371 0.913
S3 S 0.009 0.723 0.749
S4 S 0.351 0.983 0.755
S5 S 0.819 0.964 0.413
S6 S 0.692 0.054 0.578
S7 S 0.185 0.052 0.582
S8 S 0.505 0.717 0.757
S9 S 0.168 0.373 0.414
S10 S 0.514 0.647 0.416
S11 S 0.007 0.294 0.257
S12 S 0.018 0.388 0.914
S13 S 0.192 0.329 0.079
S14 S 0.686 0.319 0.081
S15 S 0.835 0.057 0.079
S16 S 0.507 0.290 0.249
S17 S 0.351 0.718 0.251
S18 S 0.306 0.960 0.416
S19 S 0.854 0.721 0.255
S20 S 0.805 0.650 0.916
S21 S 0.335 0.614 0.579
S22 S 0.843 0.635 0.583
S23 S 0.853 0.986 0.750
S24 S 0.316 0.673 0.911
S25 S 0.343 0.054 0.083
S26 S 0.140 0.298 0.750
S27 S 0.020 0.669 0.413
Na1 Na 0.826 0.329 0.835
Na2 Na 0.329 0.324 0.334
Na3 Na 0.330 0.327 0.842
Na4 Na 0.821 0.319 0.338
Na5 Na 0.496 0.987 0.004
Na6 Na 0.995 0.006 0.500
Zr1 Zr 0.339 0.336 0.689
Zr2 Zr 0.159 0.658 0.523
Zr3 Zr 0.836 0.336 0.192
Zr4 Zr 0.005 0.989 0.145
Zr5 Zr 0.511 0.013 0.358
Zr6 Zr 0.334 0.332 0.190
Zr7 Zr 0.659 0.662 0.025
Zr8 Zr 0.004 0.999 0.861
Zr9 Zr 0.506 0.021 0.644
Zr10 Zr 0.665 0.656 0.522
Zr11 Zr 0.833 0.336 0.688
Zr12 Zr 0.165 0.678 0.024
Si1 Si 0.466 0.624 0.080
Si2 Si 0.645 0.297 0.758
Si3 Si 0.144 0.992 0.258
Si4 Si 0.968 0.312 0.581
Si5 Si 0.182 0.974 0.916
Si6 Si 0.642 0.975 0.250
Si7 Si 0.681 0.393 0.414
Si8 Si 0.971 0.612 0.079
Si9 Si 0.473 0.332 0.577
```



Material: HfMg30BO31
Method: DFT, GGA-PBE
State: optimized geometry

Computed properties:
ΔH_f (0 K): -2.8325 eV/atom
Offset from the most stable computed form: 3.93 eV per formula unit
Raw total energy: -5.955 eV/atom

The structure in CIF format:
```
data_HfMg30BO31
_chemical_formula_sum 'Hf1 Mg30 B1 O31'
_space_group_name_H-M_alt 'P 1'
_space_group_IT_number 1
_cell_length_a 8.567
_cell_length_b 8.597
_cell_length_c 8.601
_cell_angle_alpha 90.00
_cell_angle_beta 90.00
_cell_angle_gamma 90.00
loop_
_space_group_symop_operation_xyz
'x,y,z'
loop_
_atom_site_label
_atom_site_type_symbol
_atom_site_fract_x
_atom_site_fract_y
_atom_site_fract_z
O1 O 0.500 0.001 0.752
O2 O 0.000 0.000 0.733
O3 O 0.255 0.000 0.500
O4 O 0.000 0.735 0.000
O5 O 0.735 0.000 0.000
O6 O 0.500 0.254 0.500
O7 O 0.500 0.746 0.500
O8 O 0.745 0.000 0.500
O9 O 0.251 0.499 0.000
O10 O 0.000 0.251 0.500
O11 O 0.250 0.249 0.749
O12 O 0.500 0.499 0.251
O13 O 0.750 0.249 0.749
O14 O 0.750 0.751 0.748
O15 O 0.250 0.751 0.252
O16 O 0.265 0.000 0.000
O17 O 0.000 0.265 0.000
O18 O 0.250 0.249 0.251
O19 O 0.000 0.000 0.267
O20 O 0.251 0.500 0.500
O21 O 0.500 0.499 0.749
O22 O 0.749 0.499 0.000
O23 O 0.000 0.500 0.747
O24 O 0.500 0.001 0.248
O25 O 0.750 0.249 0.251
O26 O 0.750 0.751 0.252
O27 O 0.250 0.751 0.748
O28 O 0.500 0.252 0.000
O29 O 0.000 0.500 0.253
O30 O 0.000 0.749 0.500
O31 O 0.749 0.500 0.500
Mg1 Mg 0.242 0.000 0.240
Mg2 Mg 0.000 0.752 0.247
Mg3 Mg 0.755 0.256 0.500
Mg4 Mg 0.500 0.500 0.500
Mg5 Mg 0.751 0.500 0.248
Mg6 Mg 0.500 0.002 0.000
Mg7 Mg 0.245 0.256 0.500
Mg8 Mg 0.247 0.248 0.000
Mg9 Mg 0.242 0.000 0.760
Mg10 Mg 0.249 0.500 0.752
Mg11 Mg 0.000 0.500 0.000
Mg12 Mg 0.500 0.253 0.755
Mg13 Mg 0.244 0.744 0.500
Mg14 Mg 0.245 0.752 0.000
Mg15 Mg 0.756 0.744 0.500
Mg16 Mg 0.500 0.253 0.245
Mg17 Mg 0.753 0.248 0.000
Mg18 Mg 0.000 0.248 0.754
Mg19 Mg 0.751 0.500 0.752
Mg20 Mg 0.758 0.000 0.240
Mg21 Mg 0.249 0.500 0.248
Mg22 Mg 0.500 0.499 0.000
Mg23 Mg 0.758 0.000 0.760
Mg24 Mg 0.000 0.248 0.246
Mg25 Mg 0.500 0.747 0.246
Mg26 Mg 0.000 0.752 0.753
Mg27 Mg 0.500 0.747 0.754
Mg28 Mg 0.000 0.500 0.500
Mg29 Mg 0.000 0.000 0.500
Mg30 Mg 0.755 0.752 0.000
Hf1 Hf 0.500 0.000 0.500
B1 B 0.000 0.000 0.000
```



> ΔH_f (0 K) of number 1 (Th6Mn23H44)?

-0.1539 eV/atom



> Among the records above, which one has the lowest ΔH_f (0 K)?

HfMg30BO31



> Which of these has the lowest raw total energy?

Na2Zr4Al4Si3S9O48



> The lowest ΔH_f (0 K) belongs to which entry?

HfMg30BO31